Record 1
Here is crystalline Rb6O at its relaxed geometry from the Materials Project database. Energies are from PBE-GGA.

Geometry as CIF:
```
data_Rb6O
_space_group_name_H-M_alt 'P 1'
_space_group_IT_number 1
_space_group_name_Hall 'P 1'
_cell_length_a 8.464
_cell_length_b 8.464
_cell_length_c 30.811
_cell_angle_alpha 90.00
_cell_angle_beta 90.00
_cell_angle_gamma 120.00
loop_
_atom_site_label
_atom_site_fract_x
_atom_site_fract_y
_atom_site_fract_z
Rb1 0.000 0.000 0.000
Rb2 0.000 0.000 0.500
Rb3 0.069 0.683 0.140
Rb4 0.069 0.683 0.360
Rb5 0.081 0.427 0.250
Rb6 0.317 0.386 0.140
Rb7 0.317 0.386 0.360
Rb8 0.333 0.667 0.516
Rb9 0.333 0.667 0.984
Rb10 0.346 0.919 0.250
Rb11 0.386 0.069 0.640
Rb12 0.386 0.069 0.860
Rb13 0.427 0.346 0.750
Rb14 0.573 0.654 0.250
Rb15 0.614 0.931 0.140
Rb16 0.614 0.931 0.360
Rb17 0.654 0.081 0.750
Rb18 0.667 0.333 0.016
Rb19 0.667 0.333 0.484
Rb20 0.683 0.614 0.640
Rb21 0.683 0.614 0.860
Rb22 0.919 0.573 0.750
Rb23 0.931 0.317 0.640
Rb24 0.931 0.317 0.860
O1 0.333 0.667 0.187
O2 0.333 0.667 0.313
O3 0.667 0.333 0.687
O4 0.667 0.333 0.813
```

Output
Space-group type: P6_3/m (176)

Record 2
Here is crystalline Zr3Be at its relaxed geometry from the Materials Project database. Energies are from PBE-GGA.

Geometry as CIF:
```
data_Zr3Be
_space_group_name_H-M_alt 'P 1'
_space_group_IT_number 1
_space_group_name_Hall 'P 1'
_cell_length_a 4.234
_cell_length_b 4.234
_cell_length_c 8.802
_cell_angle_alpha 90.00
_cell_angle_beta 90.00
_cell_angle_gamma 90.00
loop_
_atom_site_label
_atom_site_fract_x
_atom_site_fract_y
_atom_site_fract_z
Zr1 0.000 0.000 0.000
Zr2 0.000 0.500 0.250
Zr3 0.000 0.500 0.750
Zr4 0.500 0.000 0.250
Zr5 0.500 0.000 0.750
Zr6 0.500 0.500 0.500
Be1 0.000 0.000 0.500
Be2 0.500 0.500 0.000
```

Output
Space-group type: I4/mmm (139)

Record 3
Here is crystalline NaYI4O12 at its relaxed geometry from the Materials Project database. Energies are from PBE-GGA.

Geometry as CIF:
```
data_NaYI4O12
_space_group_name_H-M_alt 'P 1'
_space_group_IT_number 1
_space_group_name_Hall 'P 1'
_cell_length_a 16.120
_cell_length_b 16.120
_cell_length_c 12.648
_cell_angle_alpha 90.81
_cell_angle_beta 90.81
_cell_angle_gamma 20.20
loop_
_atom_site_label
_atom_site_fract_x
_atom_site_fract_y
_atom_site_fract_z
Na1 0.220 0.780 0.500
Na2 0.348 0.802 0.906
Na3 0.780 0.220 0.000
Na4 0.802 0.348 0.406
Y1 0.170 0.748 0.794
Y2 0.353 0.974 0.300
Y3 0.748 0.170 0.294
Y4 0.974 0.353 0.800
I1 0.028 0.659 0.658
I2 0.107 0.454 0.933
I3 0.142 0.624 0.386
I4 0.247 0.631 0.090
I5 0.301 0.903 0.595
I6 0.302 0.785 0.254
I7 0.454 0.107 0.433
I8 0.481 0.883 0.006
I9 0.506 0.975 0.702
I10 0.624 0.142 0.886
I11 0.631 0.247 0.590
I12 0.659 0.028 0.158
I13 0.785 0.302 0.754
I14 0.883 0.481 0.506
I15 0.903 0.301 0.095
I16 0.975 0.506 0.202
O1 0.003 0.210 0.235
O2 0.003 0.857 0.414
O3 0.007 0.037 0.837
O4 0.037 0.007 0.337
O5 0.044 0.082 0.550
O6 0.062 0.232 0.436
O7 0.069 0.879 0.163
O8 0.082 0.044 0.050
O9 0.138 0.254 0.176
O10 0.177 0.283 0.878
O11 0.210 0.003 0.735
O12 0.232 0.062 0.936
O13 0.254 0.138 0.676
O14 0.283 0.177 0.378
O15 0.283 0.283 0.055
O16 0.283 0.283 0.555
O17 0.292 0.648 0.969
O18 0.313 0.318 0.848
O19 0.318 0.313 0.348
O20 0.329 0.443 0.507
O21 0.373 0.442 0.293
O22 0.377 0.548 0.638
O23 0.417 0.769 0.329
O24 0.442 0.373 0.793
O25 0.443 0.329 0.007
O26 0.480 0.822 0.128
O27 0.507 0.620 0.601
O28 0.512 0.518 0.320
O29 0.518 0.512 0.820
O30 0.548 0.377 0.138
O31 0.596 0.722 0.447
O32 0.620 0.507 0.101
O33 0.648 0.292 0.469
O34 0.669 0.804 0.577
O35 0.687 0.741 0.790
O36 0.722 0.596 0.947
O37 0.741 0.687 0.290
O38 0.769 0.417 0.829
O39 0.782 0.830 0.240
O40 0.804 0.669 0.077
O41 0.822 0.480 0.628
O42 0.830 0.782 0.740
O43 0.831 0.953 0.221
O44 0.840 0.845 0.038
O45 0.845 0.840 0.538
O46 0.857 0.003 0.914
O47 0.879 0.069 0.663
O48 0.953 0.831 0.721
```

Output
Space-group type: Cc (9)

Record 4
Here is crystalline K2InAsI6 at its relaxed geometry from the Materials Project database. Energies are from PBE-GGA.

Geometry as CIF:
```
data_K2InAsI6
_space_group_name_H-M_alt 'P 1'
_space_group_IT_number 1
_space_group_name_Hall 'P 1'
_cell_length_a 8.572
_cell_length_b 8.572
_cell_length_c 8.572
_cell_angle_alpha 60.00
_cell_angle_beta 60.00
_cell_angle_gamma 60.00
loop_
_atom_site_label
_atom_site_fract_x
_atom_site_fract_y
_atom_site_fract_z
K1 0.250 0.250 0.250
K2 0.750 0.750 0.750
In1 0.000 0.000 0.000
As1 0.500 0.500 0.500
I1 0.261 0.261 0.739
I2 0.261 0.739 0.261
I3 0.261 0.739 0.739
I4 0.739 0.261 0.261
I5 0.739 0.261 0.739
I6 0.739 0.739 0.261
```

Output
Space-group type: Fm-3m (225)

Ordered volume results: 68.27, 19.72, 15.76, 44.54; unit Å³ per atom.
Ordered total DFT energy (no corrections) results: -1.97, -7.27, -5.06, -2.60; unit eV per atom.